[1]
## Fe4Te3S (PBE)

Data for a relaxed structure of Fe4Te3S.

```
Fe4Te3S
1.0
3.6816 0.0000 0.0000
0.0000 3.6816 0.0000
0.0000 0.0000 12.8281
Fe Te S
4 3 1
direct
0.0000 0.5000 0.0000 Fe
0.0000 0.5000 0.4834 Fe
0.5000 0.0000 0.0000 Fe
0.5000 0.0000 0.4834 Fe
0.0000 0.0000 0.1411 Te
0.0000 0.0000 0.6124 Te
0.5000 0.5000 0.8586 Te
0.5000 0.5000 0.3971 S
```

Results
The space group is No. 99. The excess energy over the best structure of this formula in the dataset is 0 kJ/mol of formula units. The volume comes out at 173.9 Å³/cell. For the corrected total energy (MP2020 scheme), the calculation gives -49.22 eV per formula unit. As for the size of the total moment: 4.25 μB/cell.

***

[2]
## Fe4Te3S (PBE)

Data for a relaxed structure of Fe4Te3S.

```
Fe4Te3S
1.0
3.6046 0.0000 0.0000
0.0000 3.6212 6.3671
0.0000 -3.6212 6.3671
Fe Te S
4 3 1
direct
0.0000 0.0000 0.0000 Fe
0.0000 0.5002 0.5002 Fe
0.5000 0.2536 0.7453 Fe
0.5000 0.7453 0.2536 Fe
0.0000 0.3942 0.8942 Te
0.0000 0.8942 0.3942 Te
0.5000 0.8561 0.8561 Te
0.5000 0.3904 0.3904 S
```

Results
The space group is No. 38. The excess energy over the best structure of this formula in the dataset is 25 kJ/mol of formula units. The volume comes out at 166.2 Å³/cell. For the corrected total energy (MP2020 scheme), the calculation gives -48.95 eV per formula unit. As for the size of the total moment: 7.41 μB/cell.

***

[3]
## Th2FeS5 (PBE)

Data for a relaxed structure of Th2FeS5.

```
Th2FeS5
1.0
7.5117 -3.1812 0.0000
7.5117 3.1812 0.0000
-0.8948 0.0000 7.2078
Th Fe S
4 2 10
direct
0.1110 0.6756 0.9211 Th
0.3244 0.8890 0.5789 Th
0.6756 0.1110 0.4211 Th
0.8890 0.3244 0.0789 Th
0.0000 0.5000 0.5000 Fe
0.5000 0.0000 0.0000 Fe
0.0806 0.9194 0.2500 S
0.1436 0.2993 0.8117 S
0.2802 0.5374 0.5675 S
0.2993 0.1436 0.3117 S
0.4626 0.7198 0.9325 S
0.5374 0.2802 0.0675 S
0.7007 0.8564 0.6883 S
0.7198 0.4626 0.4325 S
0.8564 0.7007 0.1883 S
0.9194 0.0806 0.7500 S
```

Results
The space group is No. 15. The volume comes out at 344.5 Å³/cell. For the corrected total energy (MP2020 scheme), the calculation gives -58.74 eV per formula unit. As for the size of the total moment: 7.96 μB/cell.

***

[4]
## Ti3FeS6 (PBE)

Data for a relaxed structure of Ti3FeS6.

```
Ti3FeS6
1.0
2.9177 1.6845 5.5733
-2.9177 1.6845 5.5733
0.0000 -3.3691 5.5733
Ti Fe S
3 1 6
direct
0.0000 0.0000 0.0000 Ti
0.3299 0.3299 0.3299 Ti
0.6701 0.6701 0.6701 Ti
0.5000 0.5000 0.5000 Fe
0.0962 0.4194 0.7500 S
0.2500 0.9038 0.5806 S
0.4194 0.7500 0.0962 S
0.5806 0.2500 0.9038 S
0.7500 0.0962 0.4194 S
0.9038 0.5806 0.2500 S
```

Results
The space group is No. 148. The volume comes out at 164.4 Å³/cell. For the corrected total energy (MP2020 scheme), the calculation gives -71.87 eV per formula unit.

***

[5]
## Ti3FeS6 (PBE)

Data for a relaxed structure of Ti3FeS6.

```
Ti3FeS6
1.0
5.9356 0.0000 0.0000
-2.9678 5.1404 0.0000
0.0000 0.0000 11.5941
Ti Fe S
6 2 12
direct
0.3333 0.6667 0.0009 Ti
0.3333 0.6667 0.4991 Ti
0.3333 0.6667 0.7500 Ti
0.6667 0.3333 0.2500 Ti
0.6667 0.3333 0.5009 Ti
0.6667 0.3333 0.9991 Ti
0.0000 0.0000 0.0000 Fe
0.0000 0.0000 0.5000 Fe
0.0021 0.3339 0.6245 S
0.0021 0.6682 0.8755 S
0.3318 0.3339 0.8755 S
0.3318 0.9979 0.6245 S
0.3339 0.0021 0.1245 S
0.3339 0.3318 0.3755 S
0.6661 0.6682 0.6245 S
0.6661 0.9979 0.8755 S
0.6682 0.0021 0.3755 S
0.6682 0.6661 0.1245 S
0.9979 0.3318 0.1245 S
0.9979 0.6661 0.3755 S
```

Results
The space group is No. 163. The volume comes out at 353.8 Å³/cell. For the corrected total energy (MP2020 scheme), the calculation gives -71.21 eV per formula unit. As for the size of the total moment: 5.75 μB/cell.

***

[6]
## Tl2Fe3S4 (PBE)

Data for a relaxed structure of Tl2Fe3S4.

```
Tl2Fe3S4
1.0
-2.5935 5.2989 6.4514
2.5935 -5.2989 6.4514
2.5935 5.2989 -6.4514
Tl Fe S
4 6 8
direct
0.1301 0.2483 0.3783 Tl
0.3699 0.7483 0.1182 Tl
0.6301 0.2517 0.8818 Tl
0.8699 0.7517 0.6217 Tl
0.0054 0.2500 0.7554 Fe
0.2500 0.2500 0.0000 Fe
0.4946 0.2500 0.2446 Fe
0.5054 0.7500 0.7554 Fe
0.7500 0.7500 0.0000 Fe
0.9946 0.7500 0.2446 Fe
0.0400 0.4197 0.1307 S
0.2110 0.0803 0.6202 S
0.2890 0.9092 0.8693 S
0.4600 0.5908 0.3798 S
0.5400 0.4092 0.6202 S
0.7110 0.0908 0.1307 S
0.7890 0.9197 0.3798 S
0.9600 0.5803 0.8693 S
```

Results
The space group is No. 72. The volume comes out at 354.6 Å³/cell. For the corrected total energy (MP2020 scheme), the calculation gives -52.01 eV per formula unit. As for the size of the total moment: 1.49 μB/cell.

***

[7]
## Tm4FeS7 (PBE)

Data for a relaxed structure of Tm4FeS7.

```
Tm4FeS7
1.0
6.1371 -1.8706 0.0000
6.1371 1.8706 0.0000
-2.8365 0.0000 10.8957
Tm Fe S
4 1 7
direct
0.0000 0.0000 0.0000 Tm
0.3880 0.3880 0.5968 Tm
0.5809 0.5809 0.3603 Tm
0.6942 0.6942 0.8004 Tm
0.8053 0.8053 0.2189 Fe
0.0339 0.0339 0.7433 S
0.2025 0.2025 0.2897 S
0.3554 0.3554 0.8463 S
0.4257 0.4257 0.1488 S
0.6618 0.6618 0.0215 S
0.7303 0.7303 0.5787 S
0.9483 0.9483 0.4338 S
```

Results
The space group is No. 8. The volume comes out at 250.2 Å³/cell. For the corrected total energy (MP2020 scheme), the calculation gives -79.22 eV per formula unit. As for the size of the total moment: 4.00 μB/cell.

***

[8]
## UFeS3 (PBE)

Data for a relaxed structure of UFeS3.

```
UFeS3
1.0
1.8373 -5.3521 0.0000
1.8373 5.3521 0.0000
0.0000 0.0000 8.4918
U Fe S
2 2 6
direct
0.2331 0.7669 0.7500 U
0.7669 0.2331 0.2500 U
0.0000 0.0000 0.0000 Fe
0.0000 0.0000 0.5000 Fe
0.0783 0.9217 0.2500 S
0.3693 0.6307 0.0440 S
0.3693 0.6307 0.4560 S
0.6307 0.3693 0.5440 S
0.6307 0.3693 0.9560 S
0.9217 0.0783 0.7500 S
```

Results
The space group is No. 63. The volume comes out at 167.0 Å³/cell. For the corrected total energy (MP2020 scheme), the calculation gives -38.38 eV per formula unit. As for the size of the total moment: 4.00 μB/cell.